[1]
# PBE Y3Au2, optimized geometry
# Space group: P4/mbm
# Energy of formation from the pure elements, kJ/mol of formula units: -343
data_Y3Au2
_chemical_formula_sum 'Y6 Au4'
_cell_length_a 8.206
_cell_length_b 8.206
_cell_length_c 3.797
_cell_angle_alpha 90.00
_cell_angle_beta 90.00
_cell_angle_gamma 90.00
_space_group_name_H-M_alt 'P 1'
_space_group_IT_number 1
_space_group_name_Hall 'P 1'
loop_
_atom_site_label
_atom_site_type_symbol
_atom_site_fract_x
_atom_site_fract_y
_atom_site_fract_z
Y1 Y 0.000 0.000 0.000
Y2 Y 0.162 0.338 0.500
Y3 Y 0.338 0.838 0.500
Y4 Y 0.500 0.500 0.000
Y5 Y 0.662 0.162 0.500
Y6 Y 0.838 0.662 0.500
Au1 Au 0.133 0.633 0.000
Au2 Au 0.367 0.133 0.000
Au3 Au 0.633 0.867 0.000
Au4 Au 0.867 0.367 0.000



[2]
# PBE Zn3Au5, optimized geometry
# Space group: Ibam
# Energy of formation from the pure elements, kJ/mol of formula units: -136
# Total moment, Bohr magnetons per cell: 0.00
data_Zn3Au5
_chemical_formula_sum 'Zn24 Au40'
_cell_length_a 18.104
_cell_length_b 18.104
_cell_length_c 18.104
_cell_angle_alpha 162.06
_cell_angle_beta 143.80
_cell_angle_gamma 40.68
_space_group_name_H-M_alt 'P 1'
_space_group_IT_number 1
_space_group_name_Hall 'P 1'
loop_
_atom_site_label
_atom_site_type_symbol
_atom_site_fract_x
_atom_site_fract_y
_atom_site_fract_z
Zn1 Zn 0.000 0.000 0.000
Zn2 Zn 0.046 0.900 0.571
Zn3 Zn 0.077 0.648 0.853
Zn4 Zn 0.125 0.125 0.000
Zn5 Zn 0.171 0.600 0.146
Zn6 Zn 0.205 0.776 0.853
Zn7 Zn 0.250 0.250 0.000
Zn8 Zn 0.295 0.148 0.571
Zn9 Zn 0.329 0.475 0.429
Zn10 Zn 0.375 0.375 0.000
Zn11 Zn 0.423 0.276 0.571
Zn12 Zn 0.454 0.025 0.854
Zn13 Zn 0.500 0.500 0.000
Zn14 Zn 0.546 0.975 0.146
Zn15 Zn 0.577 0.724 0.429
Zn16 Zn 0.625 0.625 0.000
Zn17 Zn 0.671 0.525 0.571
Zn18 Zn 0.705 0.852 0.429
Zn19 Zn 0.750 0.750 0.000
Zn20 Zn 0.795 0.224 0.147
Zn21 Zn 0.829 0.400 0.854
Zn22 Zn 0.875 0.875 0.000
Zn23 Zn 0.923 0.352 0.147
Zn24 Zn 0.954 0.100 0.429
Au1 Au 0.000 0.500 0.500
Au2 Au 0.008 0.250 0.758
Au3 Au 0.042 0.149 0.314
Au4 Au 0.085 0.402 0.112
Au5 Au 0.117 0.875 0.242
Au6 Au 0.125 0.625 0.500
Au7 Au 0.133 0.375 0.758
Au8 Au 0.165 0.272 0.314
Au9 Au 0.210 0.098 0.683
Au10 Au 0.243 0.961 0.204
Au11 Au 0.250 0.750 0.500
Au12 Au 0.257 0.461 0.718
Au13 Au 0.290 0.973 0.888
Au14 Au 0.335 0.649 0.107
Au15 Au 0.367 0.125 0.242
Au16 Au 0.375 0.875 0.500
Au17 Au 0.383 0.625 0.758
Au18 Au 0.415 0.527 0.317
Au19 Au 0.458 0.772 0.107
Au20 Au 0.492 0.250 0.242
Au21 Au 0.500 0.000 0.500
Au22 Au 0.508 0.750 0.758
Au23 Au 0.542 0.228 0.893
Au24 Au 0.585 0.473 0.683
Au25 Au 0.617 0.375 0.242
Au26 Au 0.625 0.125 0.500
Au27 Au 0.633 0.875 0.758
Au28 Au 0.665 0.351 0.893
Au29 Au 0.710 0.027 0.112
Au30 Au 0.743 0.539 0.282
Au31 Au 0.750 0.250 0.500
Au32 Au 0.757 0.039 0.796
Au33 Au 0.790 0.902 0.317
Au34 Au 0.835 0.728 0.686
Au35 Au 0.867 0.625 0.242
Au36 Au 0.875 0.375 0.500
Au37 Au 0.883 0.125 0.758
Au38 Au 0.915 0.598 0.888
Au39 Au 0.958 0.851 0.686
Au40 Au 0.992 0.750 0.242



[3]
# PBE Zn3Au, optimized geometry
# Space group: Pm-3n
# Energy of formation from the pure elements, kJ/mol of formula units: -67
data_Zn3Au
_chemical_formula_sum 'Zn24 Au8'
_cell_length_a 7.980
_cell_length_b 7.980
_cell_length_c 7.980
_cell_angle_alpha 90.00
_cell_angle_beta 90.00
_cell_angle_gamma 90.00
_space_group_name_H-M_alt 'P 1'
_space_group_IT_number 1
_space_group_name_Hall 'P 1'
loop_
_atom_site_label
_atom_site_type_symbol
_atom_site_fract_x
_atom_site_fract_y
_atom_site_fract_z
Zn1 Zn 0.000 0.164 0.300
Zn2 Zn 0.000 0.164 0.700
Zn3 Zn 0.000 0.836 0.300
Zn4 Zn 0.000 0.836 0.700
Zn5 Zn 0.164 0.300 0.000
Zn6 Zn 0.164 0.700 0.000
Zn7 Zn 0.200 0.336 0.500
Zn8 Zn 0.200 0.664 0.500
Zn9 Zn 0.300 0.000 0.164
Zn10 Zn 0.300 0.000 0.836
Zn11 Zn 0.336 0.500 0.200
Zn12 Zn 0.336 0.500 0.800
Zn13 Zn 0.500 0.200 0.336
Zn14 Zn 0.500 0.200 0.664
Zn15 Zn 0.500 0.800 0.336
Zn16 Zn 0.500 0.800 0.664
Zn17 Zn 0.664 0.500 0.200
Zn18 Zn 0.664 0.500 0.800
Zn19 Zn 0.700 0.000 0.164
Zn20 Zn 0.700 0.000 0.836
Zn21 Zn 0.800 0.336 0.500
Zn22 Zn 0.800 0.664 0.500
Zn23 Zn 0.836 0.300 0.000
Zn24 Zn 0.836 0.700 0.000
Au1 Au 0.000 0.000 0.000
Au2 Au 0.000 0.500 0.250
Au3 Au 0.000 0.500 0.750
Au4 Au 0.250 0.000 0.500
Au5 Au 0.500 0.250 0.000
Au6 Au 0.500 0.500 0.500
Au7 Au 0.500 0.750 0.000
Au8 Au 0.750 0.000 0.500



[4]
# PBE ZnAu3, optimized geometry
# Space group: Cmce
# Energy of formation from the pure elements, kJ/mol of formula units: -57
data_ZnAu3
_chemical_formula_sum 'Zn4 Au12'
_cell_length_a 8.850
_cell_length_b 8.850
_cell_length_c 5.711
_cell_angle_alpha 90.00
_cell_angle_beta 90.00
_cell_angle_gamma 38.25
_space_group_name_H-M_alt 'P 1'
_space_group_IT_number 1
_space_group_name_Hall 'P 1'
loop_
_atom_site_label
_atom_site_type_symbol
_atom_site_fract_x
_atom_site_fract_y
_atom_site_fract_z
Zn1 Zn 0.136 0.136 0.000
Zn2 Zn 0.364 0.364 0.500
Zn3 Zn 0.636 0.636 0.500
Zn4 Zn 0.864 0.864 0.000
Au1 Au 0.002 0.498 0.750
Au2 Au 0.119 0.119 0.500
Au3 Au 0.183 0.817 0.819
Au4 Au 0.317 0.683 0.319
Au5 Au 0.381 0.381 0.000
Au6 Au 0.498 0.002 0.250
Au7 Au 0.502 0.998 0.750
Au8 Au 0.619 0.619 0.000
Au9 Au 0.683 0.317 0.681
Au10 Au 0.817 0.183 0.181
Au11 Au 0.881 0.881 0.500
Au12 Au 0.998 0.502 0.250



[5]
# PBE Zn3Au, optimized geometry
# Space group: P6_3/mmc
# Energy of formation from the pure elements, kJ/mol of formula units: -59
data_Zn3Au
_chemical_formula_sum 'Zn6 Au2'
_cell_length_a 5.816
_cell_length_b 5.816
_cell_length_c 4.283
_cell_angle_alpha 90.00
_cell_angle_beta 90.00
_cell_angle_gamma 120.00
_space_group_name_H-M_alt 'P 1'
_space_group_IT_number 1
_space_group_name_Hall 'P 1'
loop_
_atom_site_label
_atom_site_type_symbol
_atom_site_fract_x
_atom_site_fract_y
_atom_site_fract_z
Zn1 Zn 0.165 0.330 0.250
Zn2 Zn 0.165 0.835 0.250
Zn3 Zn 0.330 0.165 0.750
Zn4 Zn 0.670 0.835 0.250
Zn5 Zn 0.835 0.165 0.750
Zn6 Zn 0.835 0.670 0.750
Au1 Au 0.333 0.667 0.750
Au2 Au 0.667 0.333 0.250



[6]
# PBE ZnAu4, optimized geometry
# Space group: R-3m
# Energy of formation from the pure elements, kJ/mol of formula units: -29
# Total moment, Bohr magnetons per cell: 0.00
data_ZnAu4
_chemical_formula_sum 'Zn1 Au4'
_cell_length_a 11.589
_cell_length_b 11.589
_cell_length_c 11.589
_cell_angle_alpha 14.76
_cell_angle_beta 14.76
_cell_angle_gamma 14.76
_space_group_name_H-M_alt 'P 1'
_space_group_IT_number 1
_space_group_name_Hall 'P 1'
loop_
_atom_site_label
_atom_site_type_symbol
_atom_site_fract_x
_atom_site_fract_y
_atom_site_fract_z
Zn1 Zn 0.000 0.000 0.000
Au1 Au 0.202 0.202 0.202
Au2 Au 0.395 0.395 0.395
Au3 Au 0.605 0.605 0.605
Au4 Au 0.798 0.798 0.798



[7]
# PBE ZnAu3, optimized geometry
# Space group: I4_1/acd
# Energy of formation from the pure elements, kJ/mol of formula units: -53
data_ZnAu3
_chemical_formula_sum 'Zn8 Au24'
_cell_length_a 17.432
_cell_length_b 17.432
_cell_length_c 17.432
_cell_angle_alpha 161.15
_cell_angle_beta 161.15
_cell_angle_gamma 26.77
_space_group_name_H-M_alt 'P 1'
_space_group_IT_number 1
_space_group_name_Hall 'P 1'
loop_
_atom_site_label
_atom_site_type_symbol
_atom_site_fract_x
_atom_site_fract_y
_atom_site_fract_z
Zn1 Zn 0.057 0.307 0.750
Zn2 Zn 0.193 0.443 0.750
Zn3 Zn 0.307 0.057 0.250
Zn4 Zn 0.443 0.193 0.250
Zn5 Zn 0.557 0.807 0.750
Zn6 Zn 0.693 0.943 0.750
Zn7 Zn 0.807 0.557 0.250
Zn8 Zn 0.943 0.693 0.250
Au1 Au 0.001 0.750 0.751
Au2 Au 0.060 0.810 0.620
Au3 Au 0.065 0.815 0.250
Au4 Au 0.185 0.935 0.250
Au5 Au 0.190 0.310 0.250
Au6 Au 0.250 0.001 0.751
Au7 Au 0.250 0.501 0.251
Au8 Au 0.310 0.560 0.120
Au9 Au 0.315 0.565 0.750
Au10 Au 0.435 0.685 0.750
Au11 Au 0.440 0.060 0.750
Au12 Au 0.499 0.250 0.749
Au13 Au 0.501 0.750 0.251
Au14 Au 0.560 0.940 0.250
Au15 Au 0.565 0.315 0.250
Au16 Au 0.685 0.435 0.250
Au17 Au 0.690 0.440 0.880
Au18 Au 0.750 0.499 0.749
Au19 Au 0.750 0.999 0.249
Au20 Au 0.810 0.690 0.750
Au21 Au 0.815 0.065 0.750
Au22 Au 0.935 0.185 0.750
Au23 Au 0.940 0.190 0.380
Au24 Au 0.999 0.250 0.249



[8]
# PBE ZrAu2, optimized geometry
# Space group: I4/mmm
# Energy of formation from the pure elements, kJ/mol of formula units: -166
data_ZrAu2
_chemical_formula_sum 'Zr1 Au2'
_cell_length_a 5.114
_cell_length_b 5.114
_cell_length_c 5.114
_cell_angle_alpha 138.66
_cell_angle_beta 138.66
_cell_angle_gamma 59.89
_space_group_name_H-M_alt 'P 1'
_space_group_IT_number 1
_space_group_name_Hall 'P 1'
loop_
_atom_site_label
_atom_site_type_symbol
_atom_site_fract_x
_atom_site_fract_y
_atom_site_fract_z
Zr1 Zr 0.000 0.000 0.000
Au1 Au 0.332 0.332 0.000
Au2 Au 0.668 0.668 0.000



[9]
# PBE ZrAu4, optimized geometry
# Space group: Pnma
# Energy of formation from the pure elements, kJ/mol of formula units: -200
data_ZrAu4
_chemical_formula_sum 'Zr4 Au16'
_cell_length_a 5.084
_cell_length_b 4.964
_cell_length_c 14.763
_cell_angle_alpha 90.00
_cell_angle_beta 90.00
_cell_angle_gamma 90.00
_space_group_name_H-M_alt 'P 1'
_space_group_IT_number 1
_space_group_name_Hall 'P 1'
loop_
_atom_site_label
_atom_site_type_symbol
_atom_site_fract_x
_atom_site_fract_y
_atom_site_fract_z
Zr1 Zr 0.163 0.250 0.098
Zr2 Zr 0.337 0.750 0.598
Zr3 Zr 0.663 0.250 0.402
Zr4 Zr 0.837 0.750 0.902
Au1 Au 0.159 0.250 0.900
Au2 Au 0.164 0.250 0.298
Au3 Au 0.165 0.250 0.501
Au4 Au 0.173 0.250 0.697
Au5 Au 0.327 0.750 0.197
Au6 Au 0.335 0.750 0.001
Au7 Au 0.336 0.750 0.798
Au8 Au 0.341 0.750 0.400
Au9 Au 0.659 0.250 0.600
Au10 Au 0.664 0.250 0.202
Au11 Au 0.665 0.250 0.999
Au12 Au 0.673 0.250 0.803
Au13 Au 0.827 0.750 0.303
Au14 Au 0.835 0.750 0.499
Au15 Au 0.836 0.750 0.702
Au16 Au 0.841 0.750 0.100



[10]
# PBE ZrAu4, optimized geometry
# Space group: Pnma
# Energy of formation from the pure elements, kJ/mol of formula units: -107
# Total moment, Bohr magnetons per cell: 0.00
data_ZrAu4
_chemical_formula_sum 'Zr4 Au16'
_cell_length_a 5.298
_cell_length_b 5.052
_cell_length_c 15.006
_cell_angle_alpha 90.00
_cell_angle_beta 90.00
_cell_angle_gamma 90.00
_space_group_name_H-M_alt 'P 1'
_space_group_IT_number 1
_space_group_name_Hall 'P 1'
loop_
_atom_site_label
_atom_site_type_symbol
_atom_site_fract_x
_atom_site_fract_y
_atom_site_fract_z
Zr1 Zr 0.233 0.250 0.117
Zr2 Zr 0.267 0.750 0.617
Zr3 Zr 0.733 0.250 0.383
Zr4 Zr 0.767 0.750 0.883
Au1 Au 0.039 0.250 0.541
Au2 Au 0.042 0.250 0.929
Au3 Au 0.135 0.250 0.727
Au4 Au 0.234 0.250 0.307
Au5 Au 0.266 0.750 0.807
Au6 Au 0.365 0.750 0.227
Au7 Au 0.458 0.750 0.429
Au8 Au 0.461 0.750 0.041
Au9 Au 0.539 0.250 0.959
Au10 Au 0.542 0.250 0.571
Au11 Au 0.635 0.250 0.773
Au12 Au 0.734 0.250 0.193
Au13 Au 0.766 0.750 0.693
Au14 Au 0.865 0.750 0.273
Au15 Au 0.958 0.750 0.071
Au16 Au 0.961 0.750 0.459



[11]
# PBE ZrAu, optimized geometry
# Space group: P4/mmm
# Energy of formation from the pure elements, kJ/mol of formula units: -93
data_ZrAu
_chemical_formula_sum 'Zr1 Au1'
_cell_length_a 3.093
_cell_length_b 3.093
_cell_length_c 4.157
_cell_angle_alpha 90.00
_cell_angle_beta 90.00
_cell_angle_gamma 90.00
_space_group_name_H-M_alt 'P 1'
_space_group_IT_number 1
_space_group_name_Hall 'P 1'
loop_
_atom_site_label
_atom_site_type_symbol
_atom_site_fract_x
_atom_site_fract_y
_atom_site_fract_z
Zr1 Zr 0.000 0.000 0.000
Au1 Au 0.500 0.500 0.500



[12]
# PBE BaB6, optimized geometry
# Space group: Pm-3m
# Energy of formation from the pure elements, kJ/mol of formula units: -277
data_BaB6
_chemical_formula_sum 'Ba1 B6'
_cell_length_a 4.280
_cell_length_b 4.280
_cell_length_c 4.280
_cell_angle_alpha 90.00
_cell_angle_beta 90.00
_cell_angle_gamma 90.00
_space_group_name_H-M_alt 'P 1'
_space_group_IT_number 1
_space_group_name_Hall 'P 1'
loop_
_atom_site_label
_atom_site_type_symbol
_atom_site_fract_x
_atom_site_fract_y
_atom_site_fract_z
Ba1 Ba 0.000 0.000 0.000
B1 B 0.205 0.500 0.500
B2 B 0.500 0.205 0.500
B3 B 0.500 0.500 0.205
B4 B 0.500 0.500 0.795
B5 B 0.500 0.795 0.500
B6 B 0.795 0.500 0.500



[13]
# PBE BaBi2B4O10, optimized geometry
# Space group: P2_1/c
# Energy of formation from the pure elements, kJ/mol of formula units: -4315
# Total moment, Bohr magnetons per cell: 0.00
data_BaBi2B4O10
_chemical_formula_sum 'Ba4 Bi8 B16 O40'
_cell_length_a 10.277
_cell_length_b 6.480
_cell_length_c 12.605
_cell_angle_alpha 90.00
_cell_angle_beta 103.10
_cell_angle_gamma 90.00
_space_group_name_H-M_alt 'P 1'
_space_group_IT_number 1
_space_group_name_Hall 'P 1'
loop_
_atom_site_label
_atom_site_type_symbol
_atom_site_fract_x
_atom_site_fract_y
_atom_site_fract_z
Ba1 Ba 0.128 0.094 0.377
Ba2 Ba 0.128 0.406 0.877
Ba3 Ba 0.872 0.594 0.123
Ba4 Ba 0.872 0.906 0.623
Bi1 Bi 0.272 0.650 0.629
Bi2 Bi 0.272 0.850 0.129
Bi3 Bi 0.483 0.174 0.618
Bi4 Bi 0.483 0.326 0.118
Bi5 Bi 0.517 0.674 0.882
Bi6 Bi 0.517 0.826 0.382
Bi7 Bi 0.728 0.150 0.871
Bi8 Bi 0.728 0.350 0.371
B1 B 0.006 0.110 0.104
B2 B 0.006 0.390 0.604
B3 B 0.197 0.128 0.659
B4 B 0.197 0.372 0.159
B5 B 0.216 0.585 0.328
B6 B 0.216 0.915 0.828
B7 B 0.388 0.202 0.831
B8 B 0.388 0.298 0.331
B9 B 0.612 0.702 0.669
B10 B 0.612 0.798 0.169
B11 B 0.784 0.085 0.172
B12 B 0.784 0.415 0.672
B13 B 0.803 0.628 0.841
B14 B 0.803 0.872 0.341
B15 B 0.994 0.610 0.396
B16 B 0.994 0.890 0.896
O1 O 0.054 0.581 0.635
O2 O 0.054 0.919 0.135
O3 O 0.089 0.234 0.578
O4 O 0.089 0.266 0.078
O5 O 0.126 0.665 0.400
O6 O 0.126 0.835 0.900
O7 O 0.133 0.007 0.730
O8 O 0.133 0.493 0.230
O9 O 0.272 0.503 0.096
O10 O 0.272 0.997 0.596
O11 O 0.287 0.726 0.800
O12 O 0.287 0.774 0.300
O13 O 0.290 0.216 0.226
O14 O 0.290 0.284 0.726
O15 O 0.312 0.064 0.889
O16 O 0.312 0.436 0.389
O17 O 0.438 0.128 0.407
O18 O 0.438 0.372 0.907
O19 O 0.497 0.093 0.793
O20 O 0.497 0.407 0.293
O21 O 0.503 0.593 0.707
O22 O 0.503 0.907 0.207
O23 O 0.562 0.628 0.093
O24 O 0.562 0.872 0.593
O25 O 0.688 0.564 0.611
O26 O 0.688 0.936 0.111
O27 O 0.710 0.716 0.274
O28 O 0.710 0.784 0.774
O29 O 0.713 0.226 0.700
O30 O 0.713 0.274 0.200
O31 O 0.728 0.003 0.404
O32 O 0.728 0.497 0.904
O33 O 0.867 0.507 0.770
O34 O 0.867 0.993 0.270
O35 O 0.874 0.165 0.100
O36 O 0.874 0.335 0.600
O37 O 0.911 0.734 0.922
O38 O 0.911 0.766 0.422
O39 O 0.946 0.081 0.865
O40 O 0.946 0.419 0.365